[1]
# LaSi2Au2 | the Materials Project | r²SCAN | relaxed
# energy = -304.0 eV per cell
data_LaSi2Au2
_symmetry_space_group_name_H-M 'P 1'
_symmetry_Int_Tables_number 1
_symmetry_space_group_name_Hall 'P 1'
_cell_length_a 4.384
_cell_length_b 4.384
_cell_length_c 10.187
_cell_angle_alpha 90.00
_cell_angle_beta 90.00
_cell_angle_gamma 90.00
loop_
_atom_site_label
_atom_site_type_symbol
_atom_site_fract_x
_atom_site_fract_y
_atom_site_fract_z
La1 La 0.000 0.000 0.000
La2 La 0.500 0.500 0.500
Si1 Si 0.000 0.000 0.384
Si2 Si 0.000 0.000 0.616
Si3 Si 0.500 0.500 0.116
Si4 Si 0.500 0.500 0.884
Au1 Au 0.000 0.500 0.250
Au2 Au 0.000 0.500 0.750
Au3 Au 0.500 0.000 0.250
Au4 Au 0.500 0.000 0.750

---

[2]
# Y2Ge2O7 | the Materials Project | r²SCAN | relaxed
# energy above the most stable polymorph in this dataset = 19.9 meV per atom
data_Y2Ge2O7
_symmetry_space_group_name_H-M 'P 1'
_symmetry_Int_Tables_number 1
_symmetry_space_group_name_Hall 'P 1'
_cell_length_a 6.817
_cell_length_b 6.817
_cell_length_c 12.412
_cell_angle_alpha 90.00
_cell_angle_beta 90.00
_cell_angle_gamma 90.00
loop_
_atom_site_label
_atom_site_type_symbol
_atom_site_fract_x
_atom_site_fract_y
_atom_site_fract_z
Y1 Y 0.124 0.353 0.385
Y2 Y 0.147 0.624 0.135
Y3 Y 0.353 0.124 0.615
Y4 Y 0.376 0.853 0.365
Y5 Y 0.624 0.147 0.865
Y6 Y 0.647 0.876 0.115
Y7 Y 0.853 0.376 0.635
Y8 Y 0.876 0.647 0.885
Ge1 Ge 0.099 0.153 0.869
Ge2 Ge 0.153 0.099 0.131
Ge3 Ge 0.347 0.599 0.619
Ge4 Ge 0.401 0.653 0.881
Ge5 Ge 0.599 0.347 0.381
Ge6 Ge 0.653 0.401 0.119
Ge7 Ge 0.847 0.901 0.631
Ge8 Ge 0.901 0.847 0.369
O1 O 0.031 0.077 0.627
O2 O 0.063 0.662 0.321
O3 O 0.077 0.031 0.373
O4 O 0.143 0.316 0.205
O5 O 0.162 0.437 0.571
O6 O 0.184 0.643 0.955
O7 O 0.196 0.196 0.000
O8 O 0.304 0.696 0.750
O9 O 0.316 0.143 0.795
O10 O 0.338 0.937 0.179
O11 O 0.357 0.816 0.545
O12 O 0.423 0.531 0.377
O13 O 0.437 0.162 0.429
O14 O 0.469 0.577 0.123
O15 O 0.531 0.423 0.623
O16 O 0.563 0.838 0.929
O17 O 0.577 0.469 0.877
O18 O 0.643 0.184 0.045
O19 O 0.662 0.063 0.679
O20 O 0.684 0.857 0.295
O21 O 0.696 0.304 0.250
O22 O 0.804 0.804 0.500
O23 O 0.816 0.357 0.455
O24 O 0.838 0.563 0.071
O25 O 0.857 0.684 0.705
O26 O 0.923 0.969 0.873
O27 O 0.937 0.338 0.821
O28 O 0.969 0.923 0.127

---

[3]
# FeP2O6 | the Materials Project | r²SCAN | relaxed
# energy = -351.2 eV per cell
data_FeP2O6
_symmetry_space_group_name_H-M 'P 1'
_symmetry_Int_Tables_number 1
_symmetry_space_group_name_Hall 'P 1'
_cell_length_a 7.281
_cell_length_b 7.281
_cell_length_c 9.986
_cell_angle_alpha 113.60
_cell_angle_beta 113.60
_cell_angle_gamma 69.34
loop_
_atom_site_label
_atom_site_type_symbol
_atom_site_fract_x
_atom_site_fract_y
_atom_site_fract_z
Fe1 Fe 0.000 0.500 0.500
Fe2 Fe 0.052 0.948 0.750
Fe3 Fe 0.500 0.000 0.000
Fe4 Fe 0.948 0.052 0.250
P1 P 0.252 0.728 0.023
P2 P 0.272 0.748 0.477
P3 P 0.300 0.311 0.802
P4 P 0.311 0.300 0.302
P5 P 0.689 0.700 0.698
P6 P 0.700 0.689 0.198
P7 P 0.728 0.252 0.523
P8 P 0.748 0.272 0.977
O1 O 0.082 0.842 0.089
O2 O 0.122 0.281 0.317
O3 O 0.158 0.918 0.411
O4 O 0.192 0.715 0.582
O5 O 0.195 0.352 0.653
O6 O 0.227 0.498 0.936
O7 O 0.281 0.122 0.817
O8 O 0.285 0.808 0.918
O9 O 0.303 0.537 0.343
O10 O 0.352 0.195 0.153
O11 O 0.463 0.697 0.157
O12 O 0.498 0.227 0.436
O13 O 0.502 0.773 0.564
O14 O 0.537 0.303 0.843
O15 O 0.648 0.805 0.847
O16 O 0.697 0.463 0.657
O17 O 0.715 0.192 0.082
O18 O 0.719 0.878 0.183
O19 O 0.773 0.502 0.064
O20 O 0.805 0.648 0.347
O21 O 0.808 0.285 0.418
O22 O 0.842 0.082 0.589
O23 O 0.878 0.719 0.683
O24 O 0.918 0.158 0.911

---

[4]
# PrGa3Pd | the Materials Project | r²SCAN | relaxed
# energy = -180.9 eV per cell
data_PrGa3Pd
_symmetry_space_group_name_H-M 'P 1'
_symmetry_Int_Tables_number 1
_symmetry_space_group_name_Hall 'P 1'
_cell_length_a 4.240
_cell_length_b 4.240
_cell_length_c 10.688
_cell_angle_alpha 90.00
_cell_angle_beta 90.00
_cell_angle_gamma 90.00
loop_
_atom_site_label
_atom_site_type_symbol
_atom_site_fract_x
_atom_site_fract_y
_atom_site_fract_z
Pr1 Pr 0.000 0.000 0.000
Pr2 Pr 0.500 0.500 0.500
Ga1 Ga 0.000 0.000 0.383
Ga2 Ga 0.000 0.000 0.617
Ga3 Ga 0.000 0.500 0.250
Ga4 Ga 0.500 0.000 0.750
Ga5 Ga 0.500 0.500 0.117
Ga6 Ga 0.500 0.500 0.883
Pd1 Pd 0.000 0.500 0.750
Pd2 Pd 0.500 0.000 0.250

---

[5]
# Dy2S2O | the Materials Project | r²SCAN | relaxed
# energy above the most stable polymorph in this dataset = 2.6 meV per atom
data_Dy2S2O
_symmetry_space_group_name_H-M 'P 1'
_symmetry_Int_Tables_number 1
_symmetry_space_group_name_Hall 'P 1'
_cell_length_a 15.525
_cell_length_b 3.798
_cell_length_c 6.725
_cell_angle_alpha 90.00
_cell_angle_beta 90.00
_cell_angle_gamma 90.00
loop_
_atom_site_label
_atom_site_type_symbol
_atom_site_fract_x
_atom_site_fract_y
_atom_site_fract_z
Dy1 Dy 0.040 0.250 0.205
Dy2 Dy 0.165 0.250 0.756
Dy3 Dy 0.335 0.750 0.256
Dy4 Dy 0.460 0.750 0.705
Dy5 Dy 0.540 0.250 0.295
Dy6 Dy 0.665 0.250 0.744
Dy7 Dy 0.835 0.750 0.244
Dy8 Dy 0.960 0.750 0.795
S1 S 0.100 0.750 0.514
S2 S 0.181 0.750 0.046
S3 S 0.319 0.250 0.546
S4 S 0.400 0.250 0.014
S5 S 0.600 0.750 0.986
S6 S 0.681 0.750 0.454
S7 S 0.819 0.250 0.954
S8 S 0.900 0.250 0.486
O1 O 0.031 0.250 0.869
O2 O 0.469 0.750 0.369
O3 O 0.531 0.250 0.631
O4 O 0.969 0.750 0.131

---

[6]
# TbAl3Cu2 | the Materials Project | r²SCAN | relaxed
# energy = -76.1 eV per cell
data_TbAl3Cu2
_symmetry_space_group_name_H-M 'P 1'
_symmetry_Int_Tables_number 1
_symmetry_space_group_name_Hall 'P 1'
_cell_length_a 5.313
_cell_length_b 5.313
_cell_length_c 4.028
_cell_angle_alpha 90.00
_cell_angle_beta 90.00
_cell_angle_gamma 120.00
loop_
_atom_site_label
_atom_site_type_symbol
_atom_site_fract_x
_atom_site_fract_y
_atom_site_fract_z
Tb1 Tb 0.000 0.000 0.000
Al1 Al 0.000 0.500 0.500
Al2 Al 0.500 0.000 0.500
Al3 Al 0.500 0.500 0.500
Cu1 Cu 0.333 0.667 0.000
Cu2 Cu 0.667 0.333 0.000

---

[7]
# NdEuHg2 | the Materials Project | r²SCAN | relaxed
# energy = -676.0 eV per cell
data_NdEuHg2
_symmetry_space_group_name_H-M 'P 1'
_symmetry_Int_Tables_number 1
_symmetry_space_group_name_Hall 'P 1'
_cell_length_a 7.680
_cell_length_b 7.680
_cell_length_c 7.680
_cell_angle_alpha 90.00
_cell_angle_beta 90.00
_cell_angle_gamma 90.00
loop_
_atom_site_label
_atom_site_type_symbol
_atom_site_fract_x
_atom_site_fract_y
_atom_site_fract_z
Nd1 Nd 0.000 0.000 0.000
Nd2 Nd 0.000 0.500 0.500
Nd3 Nd 0.500 0.000 0.500
Nd4 Nd 0.500 0.500 0.000
Eu1 Eu 0.000 0.000 0.500
Eu2 Eu 0.000 0.500 0.000
Eu3 Eu 0.500 0.000 0.000
Eu4 Eu 0.500 0.500 0.500
Hg1 Hg 0.250 0.250 0.250
Hg2 Hg 0.250 0.250 0.750
Hg3 Hg 0.250 0.750 0.250
Hg4 Hg 0.250 0.750 0.750
Hg5 Hg 0.750 0.250 0.250
Hg6 Hg 0.750 0.250 0.750
Hg7 Hg 0.750 0.750 0.250
Hg8 Hg 0.750 0.750 0.750

---

[8]
# UGaPt | the Materials Project | r²SCAN | relaxed
# energy = -436.3 eV per cell
data_UGaPt
_symmetry_space_group_name_H-M 'P 1'
_symmetry_Int_Tables_number 1
_symmetry_space_group_name_Hall 'P 1'
_cell_length_a 7.051
_cell_length_b 4.121
_cell_length_c 7.062
_cell_angle_alpha 90.00
_cell_angle_beta 119.93
_cell_angle_gamma 90.00
loop_
_atom_site_label
_atom_site_type_symbol
_atom_site_fract_x
_atom_site_fract_y
_atom_site_fract_z
U1 U 0.000 0.000 0.000
U2 U 0.153 0.000 0.579
U3 U 0.574 0.000 0.423
Ga1 Ga 0.337 0.500 0.001
Ga2 Ga 0.576 0.500 0.761
Ga3 Ga 0.817 0.500 0.242
Pt1 Pt 0.244 0.500 0.334
Pt2 Pt 0.578 0.000 0.002
Pt3 Pt 0.910 0.500 0.670

---

[9]
# CsSO3 | the Materials Project | r²SCAN | relaxed
# energy = -240.1 eV per cell
data_CsSO3
_symmetry_space_group_name_H-M 'P 1'
_symmetry_Int_Tables_number 1
_symmetry_space_group_name_Hall 'P 1'
_cell_length_a 6.331
_cell_length_b 6.331
_cell_length_c 11.606
_cell_angle_alpha 90.00
_cell_angle_beta 90.00
_cell_angle_gamma 120.00
loop_
_atom_site_label
_atom_site_type_symbol
_atom_site_fract_x
_atom_site_fract_y
_atom_site_fract_z
Cs1 Cs 0.000 0.000 0.000
Cs2 Cs 0.000 0.000 0.500
Cs3 Cs 0.333 0.667 0.240
Cs4 Cs 0.667 0.333 0.740
S1 S 0.333 0.667 0.720
S2 S 0.333 0.667 0.905
S3 S 0.667 0.333 0.220
S4 S 0.667 0.333 0.405
O1 O 0.076 0.538 0.937
O2 O 0.204 0.409 0.690
O3 O 0.204 0.796 0.690
O4 O 0.409 0.204 0.190
O5 O 0.462 0.538 0.937
O6 O 0.462 0.924 0.937
O7 O 0.538 0.076 0.437
O8 O 0.538 0.462 0.437
O9 O 0.591 0.796 0.690
O10 O 0.796 0.204 0.190
O11 O 0.796 0.591 0.190
O12 O 0.924 0.462 0.437

---

[10]
# CdHgO2 | the Materials Project | r²SCAN | relaxed
# energy = -169.4 eV per cell
data_CdHgO2
_symmetry_space_group_name_H-M 'P 1'
_symmetry_Int_Tables_number 1
_symmetry_space_group_name_Hall 'P 1'
_cell_length_a 6.076
_cell_length_b 3.494
_cell_length_c 6.431
_cell_angle_alpha 90.00
_cell_angle_beta 103.95
_cell_angle_gamma 90.00
loop_
_atom_site_label
_atom_site_type_symbol
_atom_site_fract_x
_atom_site_fract_y
_atom_site_fract_z
Cd1 Cd 0.000 0.000 0.000
Cd2 Cd 0.500 0.500 0.000
Hg1 Hg 0.000 0.500 0.500
Hg2 Hg 0.500 0.000 0.500
O1 O 0.120 0.500 0.817
O2 O 0.380 0.000 0.183
O3 O 0.620 0.000 0.817
O4 O 0.880 0.500 0.183

---

Spin magnetization, record by record: 0.000; 0.000; 4.000; 0.000; 0.000; 0.000; 7.261; 2.390; 0.000; 0.000 μB/f.u.